This record from the Materials Project describes crystalline PrSi2Ag2 at its relaxed geometry. The functional is meta-GGA r2SCAN.

Computed properties:
**DFT total energy**: -1.35228 Ry/atom
**Calculated formation energy**: -0.47 eV/atom

The structure in CIF format:
```
data_PrSi2Ag2
_chemical_formula_sum 'Pr2 Si4 Ag4'
_space_group_name_H-M_alt 'I 4/m m m'
_space_group_IT_number 139
_space_group_name_Hall '-I 4 2'
_cell_length_a 4.252
_cell_length_b 4.252
_cell_length_c 10.680
_cell_angle_alpha 90.00
_cell_angle_beta 90.00
_cell_angle_gamma 90.00
loop_
_atom_site_label
_atom_site_type_symbol
_atom_site_fract_x
_atom_site_fract_y
_atom_site_fract_z
Pr1 Pr 0.000 0.000 0.000
Si1 Si 0.000 0.000 0.391
Ag1 Ag 0.000 0.500 0.250
```



This record from the Materials Project describes crystalline CeZn at its relaxed geometry. The functional is meta-GGA r2SCAN.

Computed properties:
**DFT total energy**: -1.47441 Ry/atom
**Calculated formation energy**: -0.18 eV/atom

The structure in CIF format:
```
data_CeZn
_chemical_formula_sum 'Ce1 Zn1'
_space_group_name_H-M_alt 'P m -3 m'
_space_group_IT_number 221
_space_group_name_Hall '-P 4 2 3'
_cell_length_a 3.627
_cell_length_b 3.627
_cell_length_c 3.627
_cell_angle_alpha 90.00
_cell_angle_beta 90.00
_cell_angle_gamma 90.00
loop_
_atom_site_label
_atom_site_type_symbol
_atom_site_fract_x
_atom_site_fract_y
_atom_site_fract_z
Ce1 Ce 0.000 0.000 0.000
Zn1 Zn 0.500 0.500 0.500
```



This record from the Materials Project describes crystalline SmCuSi at its relaxed geometry. The functional is meta-GGA r2SCAN.

Computed properties:
**DFT total energy**: -1.26085 Ry/atom
**Calculated formation energy**: -0.70 eV/atom

The structure in CIF format:
```
data_SmCuSi
_chemical_formula_sum 'Sm2 Cu2 Si2'
_space_group_name_H-M_alt 'P 63/m m c'
_space_group_IT_number 194
_space_group_name_Hall '-P 6c 2c'
_cell_length_a 4.1511
_cell_length_b 4.1511
_cell_length_c 7.8701
_cell_angle_alpha 90.00
_cell_angle_beta 90.00
_cell_angle_gamma 120.00
loop_
_atom_site_label
_atom_site_type_symbol
_atom_site_fract_x
_atom_site_fract_y
_atom_site_fract_z
Sm1 Sm 0.0000 0.0000 0.0000
Cu1 Cu 0.3333 0.6667 0.2500
Si1 Si 0.3333 0.6667 0.7500
```



This record from the Materials Project describes crystalline NaLaTl2 at its relaxed geometry. The functional is meta-GGA r2SCAN.

Computed properties:
**DFT total energy**: -2.59558 Ry/atom
**Calculated formation energy**: -0.40 eV/atom

The structure in CIF format:
```
data_NaLaTl2
_chemical_formula_sum 'Na4 La4 Tl8'
_space_group_name_H-M_alt 'F m -3 m'
_space_group_IT_number 225
_space_group_name_Hall '-F 4 2 3'
_cell_length_a 7.719
_cell_length_b 7.719
_cell_length_c 7.719
_cell_angle_alpha 90.00
_cell_angle_beta 90.00
_cell_angle_gamma 90.00
loop_
_atom_site_label
_atom_site_type_symbol
_atom_site_fract_x
_atom_site_fract_y
_atom_site_fract_z
Na1 Na 0.000 0.000 0.000
La1 La 0.000 0.000 0.500
Tl1 Tl 0.250 0.250 0.250
```